Sr25Cl52 after structural relaxation, computed with PBE-GGA.

Summary:
The calculation puts the energy above the lowest structure with this stoichiometry at 596 meV/atom. The calculation puts the total energy at -3.58 eV/atom. For the formation enthalpy at 0 K, the calculation gives -2198 meV per atom.

Unit cell a=8.654 b=13.238 c=20.645 alpha=108.65 beta=94.03 gamma=96.25
Element x y z (fractional)
Cl  0.754  0.993  0.750
Cl  0.019  0.800  0.188
Cl  0.050  0.000  0.650
Cl  0.851  0.000  0.050
Cl  0.631  0.800  0.990
Cl  0.010  0.599  0.730
Cl  0.610  0.600  0.530
Cl  0.246  0.007  0.250
Cl  0.090  0.400  0.570
Cl  0.350  0.000  0.550
Cl  0.470  0.200  0.309
Cl  0.950  0.000  0.350
Cl  0.109  0.599  0.030
Cl  0.327  0.800  0.084
Cl  0.690  0.400  0.370
Cl  0.741  0.800  0.292
Cl  0.230  0.801  0.789
Cl  0.870  0.199  0.510
Cl  0.170  0.200  0.410
Cl  0.530  0.800  0.691
Cl  0.891  0.401  0.970
Cl  0.830  0.800  0.590
Cl  0.070  0.200  0.110
Cl  0.556  0.007  0.147
Cl  0.149  0.000  0.950
Cl  0.770  0.199  0.211
Cl  0.711  0.600  0.830
Cl  0.204  0.593  0.333
Cl  0.310  0.600  0.630
Cl  0.910  0.600  0.430
Cl  0.433  0.800  0.396
Cl  0.796  0.407  0.667
Cl  0.289  0.400  0.170
Cl  0.930  0.800  0.890
Cl  0.567  0.200  0.604
Cl  0.486  0.407  0.770
Cl  0.369  0.200  0.010
Cl  0.650  0.000  0.450
Cl  0.380  0.800  0.240
Cl  0.981  0.200  0.812
Cl  0.390  0.400  0.470
Cl  0.620  0.200  0.760
Cl  0.590  0.400  0.070
Cl  0.410  0.600  0.930
Cl  0.444  0.993  0.853
Cl  0.190  0.400  0.870
Cl  0.673  0.200  0.916
Cl  0.990  0.401  0.270
Cl  0.810  0.600  0.130
Cl  0.514  0.593  0.230
Cl  0.130  0.801  0.490
Cl  0.259  0.200  0.708
Sr  0.760  0.601  0.980
Sr  0.276  0.796  0.939
Sr  0.963  0.603  0.578
Sr  0.481  0.800  0.543
Sr  0.519  0.200  0.457
Sr  0.839  0.399  0.820
Sr  0.088  0.800  0.340
Sr  0.161  0.601  0.180
Sr  0.912  0.200  0.660
Sr  0.401  0.002  0.700
Sr  0.724  0.204  0.061
Sr  0.200  0.999  0.100
Sr  0.000  0.000  0.500
Sr  0.882  0.796  0.740
Sr  0.559  0.601  0.380
Sr  0.441  0.399  0.620
Sr  0.037  0.397  0.422
Sr  0.240  0.399  0.020
Sr  0.118  0.204  0.260
Sr  0.800  0.001  0.900
Sr  0.599  0.998  0.300
Sr  0.358  0.603  0.780
Sr  0.328  0.200  0.861
Sr  0.642  0.397  0.220
Sr  0.672  0.800  0.139